Record 1
# MoP4O12 (GGA+U, relaxed)
data_MoP4O12
_chemical_formula_sum 'Mo4 P16 O48'
_cell_length_a 8.353
_cell_length_b 9.496
_cell_length_c 13.143
_cell_angle_alpha 90.00
_cell_angle_beta 90.00
_cell_angle_gamma 90.00
_space_group_name_H-M_alt 'P 1'
_space_group_IT_number 1
_space_group_name_Hall 'P 1'
loop_
_atom_site_label
_atom_site_type_symbol
_atom_site_fract_x
_atom_site_fract_y
_atom_site_fract_z
O1 O 0.135 0.110 0.616
O2 O 0.136 0.966 0.317
O3 O 0.090 0.377 0.122
Mo1 Mo 0.646 0.250 0.000
O4 O 0.806 0.128 0.073
O5 O 0.135 0.390 0.384
O6 O 0.636 0.534 0.817
P1 P 0.037 0.517 0.349
O7 O 0.618 0.919 0.751
P2 P 0.819 0.004 0.147
O8 O 0.806 0.372 0.927
O9 O 0.694 0.872 0.573
O10 O 0.472 0.366 0.928
O11 O 0.382 0.419 0.751
O12 O 0.364 0.466 0.183
O13 O 0.472 0.134 0.072
O14 O 0.882 0.081 0.251
O15 O 0.364 0.034 0.817
O16 O 0.365 0.610 0.884
P3 P 0.963 0.483 0.651
O17 O 0.635 0.110 0.884
O18 O 0.118 0.581 0.251
O19 O 0.528 0.634 0.072
O20 O 0.306 0.372 0.573
O21 O 0.136 0.534 0.683
O22 O 0.635 0.390 0.116
P4 P 0.181 0.504 0.147
O23 O 0.864 0.034 0.683
P5 P 0.319 0.004 0.353
O24 O 0.090 0.123 0.878
O25 O 0.864 0.466 0.317
O26 O 0.636 0.966 0.183
P6 P 0.037 0.983 0.651
O27 O 0.618 0.581 0.249
O28 O 0.382 0.081 0.249
O29 O 0.194 0.872 0.927
P7 P 0.463 0.017 0.151
O30 O 0.910 0.623 0.878
P8 P 0.681 0.504 0.353
P9 P 0.463 0.483 0.849
O31 O 0.590 0.123 0.622
P10 P 0.319 0.496 0.647
O32 O 0.306 0.128 0.427
O33 O 0.972 0.366 0.572
O34 O 0.865 0.610 0.616
P11 P 0.537 0.983 0.849
O35 O 0.972 0.134 0.428
Mo2 Mo 0.854 0.750 0.500
Mo3 Mo 0.146 0.250 0.500
P12 P 0.537 0.517 0.151
O36 O 0.590 0.377 0.378
O37 O 0.694 0.628 0.427
P13 P 0.181 0.996 0.853
O38 O 0.410 0.877 0.378
O39 O 0.882 0.419 0.749
O40 O 0.028 0.866 0.572
O41 O 0.028 0.634 0.428
P14 P 0.681 0.996 0.647
P15 P 0.963 0.017 0.349
O42 O 0.410 0.623 0.622
O43 O 0.194 0.628 0.073
O44 O 0.865 0.890 0.384
Mo4 Mo 0.354 0.750 0.000
O45 O 0.528 0.866 0.928
O46 O 0.118 0.919 0.749
P16 P 0.819 0.496 0.853
O47 O 0.365 0.890 0.116
O48 O 0.910 0.877 0.122
# - distance to the lowest polymorph of the same formula (meV per atom) = 0
# - crystal system = orthorhombic
# - energy with MP2020 corrections (eV per atom) = -7.873
# - energy of formation from the pure elements (eV/atom) = -2.469
# - size of the total moment (μB/f.u.) = 2.0

Record 2
# Li3Co4SnO8 (GGA+U, relaxed)
data_Li3Co4SnO8
_chemical_formula_sum 'Li6 Co8 Sn2 O16'
_cell_length_a 6.048
_cell_length_b 6.033
_cell_length_c 10.556
_cell_angle_alpha 73.58
_cell_angle_beta 73.82
_cell_angle_gamma 60.32
_space_group_name_H-M_alt 'P 1'
_space_group_IT_number 1
_space_group_name_Hall 'P 1'
loop_
_atom_site_label
_atom_site_type_symbol
_atom_site_fract_x
_atom_site_fract_y
_atom_site_fract_z
O1 O 0.382 0.872 0.880
O2 O 0.622 0.137 0.118
Li1 Li 0.750 0.750 0.250
Li2 Li 0.494 0.995 0.009
O3 O 0.129 0.098 0.137
O4 O 0.909 0.871 0.861
Sn1 Sn 0.997 0.996 0.501
O5 O 0.130 0.091 0.632
Co1 Co 0.250 0.750 0.750
O6 O 0.866 0.379 0.879
O7 O 0.591 0.629 0.639
Co2 Co 0.003 0.000 0.998
O8 O 0.361 0.877 0.376
Co3 Co 0.250 0.750 0.250
Co4 Co 0.750 0.250 0.250
Li3 Li 0.250 0.250 0.750
Li4 Li 0.499 0.992 0.505
O9 O 0.615 0.623 0.128
Co5 Co 0.750 0.250 0.750
Sn2 Sn 0.503 0.504 0.999
O10 O 0.139 0.623 0.124
O11 O 0.370 0.409 0.868
Li5 Li 0.001 0.508 0.995
Co6 Co 0.497 0.500 0.502
Co7 Co 0.250 0.250 0.250
O12 O 0.885 0.877 0.372
O13 O 0.118 0.628 0.620
Co8 Co 0.750 0.750 0.750
O14 O 0.878 0.363 0.382
Li6 Li 0.006 0.505 0.491
O15 O 0.634 0.121 0.621
O16 O 0.371 0.402 0.363
# - distance to the lowest polymorph of the same formula (meV per atom) = 0
# - crystal system = triclinic
# - energy with MP2020 corrections (eV per atom) = -6.565
# - energy of formation from the pure elements (eV/atom) = -1.706
# - size of the total moment (μB/f.u.) = 9.0

> Among the records above, which one has the lowest energy with MP2020 corrections?

MoP4O12